No. 1
# Mn3V3Ag2O12

A geometry-optimized Mn3V3Ag2O12 structure (PBE+U, the Materials Project).

```
Mn3V3Ag2O12
1.0
6.0331 -6.7133 0.0000
6.0331 6.7133 0.0000
-2.5520 0.0000 6.4449
Mn V Ag O
6 6 4 24
Direct
0.1306 0.4527 0.8826 Mn
0.2301 0.7699 0.7500 Mn
0.4527 0.1306 0.3826 Mn
0.5473 0.8694 0.6174 Mn
0.7699 0.2301 0.2500 Mn
0.8694 0.5473 0.1174 Mn
0.1608 0.3839 0.3814 V
0.2069 0.7931 0.2500 V
0.3839 0.1608 0.8814 V
0.6161 0.8392 0.1186 V
0.7931 0.2069 0.7500 V
0.8392 0.6161 0.6186 V
0.0000 0.0000 0.0000 Ag
0.0000 0.0000 0.5000 Ag
0.4930 0.5070 0.2500 Ag
0.5070 0.4930 0.7500 Ag
0.0116 0.7587 0.2418 O
0.0223 0.2212 0.3264 O
0.1047 0.4672 0.1742 O
0.1647 0.5122 0.6218 O
0.2212 0.0223 0.8264 O
0.2387 0.6825 0.0175 O
0.2413 0.9884 0.2582 O
0.3175 0.7613 0.4825 O
0.3373 0.3479 0.9016 O
0.3479 0.3373 0.4016 O
0.4672 0.1047 0.6742 O
0.4878 0.8353 0.8782 O
0.5122 0.1647 0.1218 O
0.5328 0.8953 0.3258 O
0.6521 0.6627 0.5984 O
0.6627 0.6521 0.0984 O
0.6825 0.2387 0.5175 O
0.7587 0.0116 0.7418 O
0.7613 0.3175 0.9825 O
0.7788 0.9777 0.1736 O
0.8353 0.4878 0.3782 O
0.8953 0.5328 0.8258 O
0.9777 0.7788 0.6736 O
0.9884 0.2413 0.7582 O
```

## Properties
The density is 4.61 g/cm³.


No. 2
# Mn2V3Ag3O12

A geometry-optimized Mn2V3Ag3O12 structure (PBE+U, the Materials Project).

```
Mn2V3Ag3O12
1.0
-6.3481 6.3481 6.3481
6.3481 -6.3481 6.3481
6.3481 6.3481 -6.3481
Mn V Ag O
8 12 12 48
Direct
0.0000 0.0000 0.0000 Mn
0.0000 0.0000 0.5000 Mn
0.0000 0.5000 0.0000 Mn
0.0000 0.5000 0.5000 Mn
0.5000 0.0000 0.0000 Mn
0.5000 0.0000 0.5000 Mn
0.5000 0.5000 0.0000 Mn
0.5000 0.5000 0.5000 Mn
0.1250 0.7500 0.8750 V
0.1250 0.8750 0.2500 V
0.2500 0.1250 0.8750 V
0.2500 0.6250 0.3750 V
0.3750 0.2500 0.6250 V
0.3750 0.6250 0.7500 V
0.6250 0.3750 0.2500 V
0.6250 0.7500 0.3750 V
0.7500 0.3750 0.6250 V
0.7500 0.8750 0.1250 V
0.8750 0.1250 0.7500 V
0.8750 0.2500 0.1250 V
0.1250 0.2500 0.3750 Ag
0.1250 0.3750 0.7500 Ag
0.2500 0.3750 0.1250 Ag
0.2500 0.8750 0.6250 Ag
0.3750 0.1250 0.2500 Ag
0.3750 0.7500 0.1250 Ag
0.6250 0.2500 0.8750 Ag
0.6250 0.8750 0.7500 Ag
0.7500 0.1250 0.3750 Ag
0.7500 0.6250 0.8750 Ag
0.8750 0.6250 0.2500 Ag
0.8750 0.7500 0.6250 Ag
0.0071 0.1998 0.1071 O
0.0071 0.3073 0.9000 O
0.0927 0.6998 0.6927 O
0.0927 0.8929 0.4000 O
0.1000 0.6071 0.4073 O
0.1000 0.9929 0.6927 O
0.1071 0.0071 0.1998 O
0.1071 0.6000 0.9073 O
0.1927 0.1998 0.5927 O
0.1927 0.4929 0.6000 O
0.1998 0.1071 0.0071 O
0.1998 0.5927 0.1927 O
0.3002 0.3073 0.9073 O
0.3002 0.4929 0.3929 O
0.3073 0.9000 0.0071 O
0.3073 0.9073 0.3002 O
0.3929 0.3002 0.4929 O
0.3929 0.5927 0.9000 O
0.4000 0.0927 0.8929 O
0.4000 0.8073 0.5071 O
0.4073 0.1000 0.6071 O
0.4073 0.8073 0.8002 O
0.4929 0.3929 0.3002 O
0.4929 0.6000 0.1927 O
0.5071 0.4000 0.8073 O
0.5071 0.6071 0.6998 O
0.5927 0.1927 0.1998 O
0.5927 0.9000 0.3929 O
0.6000 0.1927 0.4929 O
0.6000 0.9073 0.1071 O
0.6071 0.4073 0.1000 O
0.6071 0.6998 0.5071 O
0.6927 0.0927 0.6998 O
0.6927 0.1000 0.9929 O
0.6998 0.5071 0.6071 O
0.6998 0.6927 0.0927 O
0.8002 0.4073 0.8073 O
0.8002 0.8929 0.9929 O
0.8073 0.5071 0.4000 O
0.8073 0.8002 0.4073 O
0.8929 0.4000 0.0927 O
0.8929 0.9929 0.8002 O
0.9000 0.0071 0.3073 O
0.9000 0.3929 0.5927 O
0.9073 0.1071 0.6000 O
0.9073 0.3002 0.3073 O
0.9929 0.6927 0.1000 O
0.9929 0.8002 0.8929 O
```

## Properties
The density is 5.05 g/cm³.


No. 3
# AgMo3P2O14

A geometry-optimized AgMo3P2O14 structure (PBE+U, the Materials Project).

```
AgMo3P2O14
1.0
8.3404 0.0000 0.0000
0.0000 6.5080 0.0000
-3.5577 0.0000 10.1042
Ag Mo P O
2 6 4 28
Direct
0.0319 0.2500 0.2792 Ag
0.9681 0.7500 0.7208 Ag
0.2416 0.2500 0.6790 Mo
0.2608 0.2500 0.0019 Mo
0.3322 0.7500 0.3799 Mo
0.6678 0.2500 0.6201 Mo
0.7392 0.7500 0.9981 Mo
0.7584 0.7500 0.3210 Mo
0.3475 0.7500 0.0654 P
0.3762 0.7500 0.7012 P
0.6238 0.2500 0.2988 P
0.6525 0.2500 0.9346 P
0.0714 0.2500 0.5355 O
0.1062 0.2500 0.0753 O
0.1330 0.2500 0.8071 O
0.2107 0.5313 0.3746 O
0.2107 0.9687 0.3746 O
0.2595 0.5616 0.6947 O
0.2595 0.9384 0.6947 O
0.2758 0.5600 0.9790 O
0.2758 0.9400 0.9790 O
0.2817 0.7500 0.1841 O
0.4305 0.2500 0.6171 O
0.4417 0.7500 0.5815 O
0.4558 0.2500 0.8871 O
0.4705 0.2500 0.1714 O
0.5295 0.7500 0.8286 O
0.5442 0.7500 0.1129 O
0.5583 0.2500 0.4185 O
0.5695 0.7500 0.3829 O
0.7183 0.2500 0.8159 O
0.7242 0.0600 0.0210 O
0.7242 0.4400 0.0210 O
0.7405 0.0616 0.3053 O
0.7405 0.4384 0.3053 O
0.7893 0.0313 0.6254 O
0.7893 0.4687 0.6254 O
0.8670 0.7500 0.1929 O
0.8938 0.7500 0.9247 O
0.9286 0.7500 0.4645 O
```

## Properties
The density is 4.13 g/cm³.


No. 4
# AgMo2P3O13

A geometry-optimized AgMo2P3O13 structure (PBE+U, the Materials Project).

```
AgMo2P3O13
1.0
6.4948 0.0000 0.0000
0.0000 22.7370 0.0000
-5.2652 0.0000 7.1373
Ag Mo P O
4 8 12 52
Direct
0.0386 0.1318 0.2064 Ag
0.0386 0.3682 0.7064 Ag
0.9614 0.6318 0.2936 Ag
0.9614 0.8682 0.7936 Ag
0.2582 0.7078 0.0358 Mo
0.2582 0.7922 0.5358 Mo
0.4480 0.0634 0.7259 Mo
0.4480 0.4366 0.2259 Mo
0.5520 0.5634 0.7741 Mo
0.5520 0.9366 0.2741 Mo
0.7418 0.2078 0.4642 Mo
0.7418 0.2922 0.9642 Mo
0.0181 0.0981 0.7989 P
0.0181 0.4019 0.2989 P
0.3553 0.2036 0.5910 P
0.3553 0.2964 0.0910 P
0.4723 0.5835 0.3479 P
0.4723 0.9165 0.8479 P
0.5277 0.0835 0.1521 P
0.5277 0.4165 0.6521 P
0.6447 0.7036 0.9090 P
0.6447 0.7964 0.4090 P
0.9819 0.5981 0.7011 P
0.9819 0.9019 0.2011 P
0.0613 0.2091 0.4660 O
0.0613 0.2909 0.9660 O
0.0632 0.6582 0.7943 O
0.0632 0.8418 0.2943 O
0.1335 0.0575 0.7294 O
0.1335 0.4425 0.2294 O
0.1874 0.5654 0.7011 O
0.1874 0.9346 0.2011 O
0.1910 0.7240 0.4354 O
0.1910 0.7760 0.9354 O
0.2406 0.1123 0.0176 O
0.2406 0.3877 0.5176 O
0.2776 0.0598 0.4872 O
0.2776 0.4402 0.9872 O
0.3269 0.6247 0.1813 O
0.3269 0.8753 0.6813 O
0.3652 0.5799 0.4626 O
0.3652 0.9201 0.9626 O
0.4169 0.1900 0.4481 O
0.4169 0.3100 0.9481 O
0.4470 0.1531 0.7339 O
0.4470 0.3469 0.2339 O
0.4850 0.0234 0.2064 O
0.4850 0.4766 0.7064 O
0.4911 0.2392 0.1955 O
0.4911 0.2608 0.6955 O
0.5089 0.7392 0.3045 O
0.5089 0.7608 0.8045 O
0.5150 0.5234 0.2936 O
0.5150 0.9766 0.7936 O
0.5530 0.6531 0.7661 O
0.5530 0.8469 0.2661 O
0.5831 0.6900 0.0519 O
0.5831 0.8100 0.5519 O
0.6348 0.0799 0.0374 O
0.6348 0.4201 0.5374 O
0.6731 0.1247 0.3187 O
0.6731 0.3753 0.8187 O
0.7224 0.5598 0.0128 O
0.7224 0.9402 0.5128 O
0.7594 0.6123 0.4824 O
0.7594 0.8877 0.9824 O
0.8091 0.2240 0.0646 O
0.8091 0.2760 0.5646 O
0.8126 0.0654 0.7989 O
0.8126 0.4346 0.2989 O
0.8665 0.5575 0.7706 O
0.8665 0.9425 0.2706 O
0.9368 0.1582 0.7057 O
0.9368 0.3418 0.2057 O
0.9387 0.7091 0.0340 O
0.9387 0.7909 0.5340 O
```

## Properties
The density is 3.79 g/cm³.


No. 5
# U3Ag6Mo5O27

A geometry-optimized U3Ag6Mo5O27 structure (PBE+U, the Materials Project).

```
U3Ag6Mo5O27
1.0
8.2686 -5.7507 0.0000
8.2686 5.7507 0.0000
-2.1696 0.0000 13.0848
U Ag Mo O
6 12 10 54
Direct
0.0076 0.2532 0.7226 U
0.1393 0.8607 0.7500 U
0.2532 0.0076 0.2226 U
0.7468 0.9924 0.7774 U
0.8607 0.1393 0.2500 U
0.9924 0.7468 0.2774 U
0.0549 0.7955 0.0201 Ag
0.1649 0.3928 0.0992 Ag
0.2045 0.9451 0.4799 Ag
0.3222 0.5265 0.5460 Ag
0.3928 0.1649 0.5992 Ag
0.4735 0.6778 0.9540 Ag
0.5265 0.3222 0.0460 Ag
0.6072 0.8351 0.4008 Ag
0.6778 0.4735 0.4540 Ag
0.7955 0.0549 0.5201 Ag
0.8351 0.6072 0.9008 Ag
0.9451 0.2045 0.9799 Ag
0.0747 0.3626 0.3922 Mo
0.2294 0.4859 0.8321 Mo
0.3626 0.0747 0.8922 Mo
0.3679 0.6321 0.2500 Mo
0.4859 0.2294 0.3321 Mo
0.5141 0.7706 0.6679 Mo
0.6321 0.3679 0.7500 Mo
0.6374 0.9253 0.1078 Mo
0.7706 0.5141 0.1679 Mo
0.9253 0.6374 0.6078 Mo
0.0507 0.6682 0.1483 O
0.0546 0.9454 0.2500 O
0.0582 0.5087 0.3180 O
0.0691 0.1688 0.5982 O
0.0702 0.2038 0.3016 O
0.0723 0.5939 0.5360 O
0.0889 0.5595 0.9139 O
0.1396 0.8509 0.8889 O
0.1491 0.8604 0.6111 O
0.1688 0.0691 0.0982 O
0.2038 0.0702 0.8016 O
0.2051 0.6145 0.7408 O
0.2150 0.3210 0.7626 O
0.2303 0.6869 0.3397 O
0.2361 0.3069 0.4737 O
0.3069 0.2361 0.9737 O
0.3131 0.7697 0.1603 O
0.3210 0.2150 0.2626 O
0.3318 0.9493 0.3517 O
0.3716 0.4658 0.1820 O
0.3855 0.7949 0.7592 O
0.3948 0.4684 0.9072 O
0.4061 0.9277 0.9640 O
0.4405 0.9111 0.5861 O
0.4658 0.3716 0.6819 O
0.4684 0.3948 0.4072 O
0.4913 0.9418 0.1820 O
0.5087 0.0582 0.8180 O
0.5316 0.6052 0.5928 O
0.5342 0.6284 0.3180 O
0.5595 0.0889 0.4139 O
0.5939 0.0723 0.0360 O
0.6052 0.5316 0.0928 O
0.6145 0.2051 0.2408 O
0.6284 0.5342 0.8181 O
0.6682 0.0507 0.6483 O
0.6790 0.7850 0.7374 O
0.6869 0.2303 0.8397 O
0.6931 0.7639 0.0263 O
0.7639 0.6931 0.5263 O
0.7697 0.3131 0.6603 O
0.7850 0.6790 0.2374 O
0.7949 0.3855 0.2592 O
0.7962 0.9298 0.1984 O
0.8312 0.9309 0.9018 O
0.8509 0.1396 0.3889 O
0.8604 0.1491 0.1111 O
0.9111 0.4405 0.0861 O
0.9277 0.4061 0.4640 O
0.9298 0.7962 0.6984 O
0.9309 0.8312 0.4018 O
0.9418 0.4913 0.6820 O
0.9454 0.0546 0.7500 O
0.9493 0.3318 0.8517 O
```

## Properties
The density is 6.07 g/cm³.


No. 6
# Zn2Ag2Mo3O12

A geometry-optimized Zn2Ag2Mo3O12 structure (PBE+U, the Materials Project).

```
Zn2Ag2Mo3O12
1.0
7.1098 0.0000 0.0000
-2.1366 8.6244 0.0000
-2.7483 -3.8187 9.3480
Zn Ag Mo O
4 4 6 24
Direct
0.0000 0.0000 0.0000 Zn
0.0735 0.4021 0.0409 Zn
0.4089 0.1598 0.6239 Zn
0.6632 0.2412 0.4142 Zn
0.0336 0.7005 0.5185 Ag
0.3544 0.5300 0.8499 Ag
0.5292 0.7261 0.5765 Ag
0.7186 0.8705 0.1908 Ag
0.1561 0.2927 0.3538 Mo
0.2497 0.8646 0.2812 Mo
0.4440 0.9493 0.8860 Mo
0.6293 0.4528 0.1541 Mo
0.8231 0.5361 0.7582 Mo
0.9171 0.1090 0.6859 Mo
0.0135 0.4724 0.8626 O
0.0596 0.9286 0.1765 O
0.1128 0.2563 0.1668 O
0.1534 0.2038 0.6658 O
0.2009 0.6474 0.1951 O
0.2309 0.5130 0.4470 O
0.2550 0.9065 0.4639 O
0.2861 0.0120 0.9839 O
0.3096 0.7336 0.7643 O
0.3611 0.2229 0.4382 O
0.3779 0.4328 0.0346 O
0.4772 0.0646 0.7742 O
0.5029 0.9770 0.2902 O
0.5692 0.4239 0.7486 O
0.5960 0.3360 0.2648 O
0.6943 0.9685 0.0047 O
0.7115 0.1785 0.6015 O
0.7663 0.6673 0.2733 O
0.7863 0.3887 0.0555 O
0.8194 0.4945 0.5767 O
0.8389 0.8875 0.5947 O
0.8701 0.7542 0.8430 O
0.9198 0.1968 0.3734 O
0.9596 0.1445 0.8725 O
```

## Properties
The density is 4.79 g/cm³.


No. 7
# Na4NiAg2S8N5O12

A geometry-optimized Na4NiAg2S8N5O12 structure (PBE+U, the Materials Project).

```
Na4NiAg2S8N5O12
1.0
-6.9588 6.9588 2.9790
6.9588 -6.9588 2.9790
6.9588 6.9588 -2.9790
Na Ni Ag S N O
4 1 2 8 5 12
Direct
0.1730 0.2862 0.4592 Na
0.2862 0.8270 0.1132 Na
0.7138 0.1730 0.8868 Na
0.8270 0.7138 0.5408 Na
0.5488 0.5488 0.0000 Ni
0.2498 0.7498 0.5000 Ag
0.7498 0.2498 0.5000 Ag
0.0910 0.7341 0.8256 S
0.1193 0.5829 0.7028 S
0.2655 0.0910 0.3569 S
0.4164 0.1193 0.5364 S
0.5829 0.8800 0.4636 S
0.7341 0.9085 0.6431 S
0.8800 0.4164 0.2972 S
0.9085 0.2655 0.1744 S
0.3764 0.5402 0.9078 N
0.4686 0.3764 0.8361 N
0.5402 0.6324 0.1639 N
0.6324 0.4686 0.0922 N
0.8265 0.8265 0.0000 N
0.0112 0.2486 0.2608 O
0.0286 0.9365 0.3748 O
0.0631 0.4379 0.0921 O
0.2486 0.9879 0.2374 O
0.3457 0.9709 0.9079 O
0.4379 0.3457 0.3748 O
0.5617 0.6538 0.6252 O
0.6538 0.0286 0.0921 O
0.7504 0.0112 0.7625 O
0.9365 0.5617 0.9079 O
0.9709 0.0631 0.6252 O
0.9879 0.7504 0.7392 O
```

## Properties
The density is 2.55 g/cm³.


Asked for calculated formation energy across the records above, the calculation gives -1.98, -1.76, -2.10, -2.26, -2.06, -1.67, -0.43 eV per atom in order.
Asked for VASP energy across the records above, the calculation gives -7.055, -6.599, -6.910, -6.987, -7.043, -6.003, -4.808 eV per atom in order.